(1)
## NdTlW2O8 (GGA+U)

Data for a relaxed structure of NdTlW2O8.

Lattice parameters (Å, degrees): 5.2942 8.3266 19.0411 90.00 90.00 90.00
Last column: nearest neighbours and their distance in Å.
Sites, in units of the cell vectors:
Tl  0.5000  0.7500  0.7305  6 O 2.82-3.02
Tl  0.0000  0.7500  0.2305  6 O 2.82-3.02
Tl  0.0000  0.2500  0.7695  6 O 2.82-3.02
Tl  0.5000  0.2500  0.2695  6 O 2.82-3.02
Nd  0.5000  0.7500  0.4931  8 O 2.39-2.63
Nd  0.5000  0.2500  0.5069  8 O 2.39-2.63
Nd  0.0000  0.7500  0.9931  8 O 2.39-2.63
Nd  0.0000  0.2500  0.0069  8 O 2.39-2.63
O  0.2558  0.0033  0.0356  1 W 1.88
O  0.1020  0.4754  0.3122  1 W 1.78
O  0.2245  0.3417  0.5989  1 W 1.82
O  0.7613  0.8109  0.5921  1 W 1.84
O  0.1020  0.9754  0.6878  1 W 1.78
O  0.2442  0.5033  0.4644  1 W 1.88
O  0.7442  0.9967  0.9644  1 W 1.88
O  0.7245  0.1583  0.0989  1 W 1.82
O  0.3980  0.4754  0.8122  1 W 1.78
O  0.2387  0.1891  0.4079  1 W 1.84
O  0.7755  0.6583  0.4011  1 W 1.82
O  0.7442  0.4967  0.0356  1 W 1.88
O  0.2442  0.0033  0.5356  1 W 1.88
O  0.7613  0.3109  0.4079  1 W 1.84
O  0.2245  0.8417  0.4011  1 W 1.82
O  0.2613  0.1891  0.9079  1 W 1.84
O  0.7387  0.3109  0.9079  1 W 1.84
O  0.2613  0.6891  0.0921  1 W 1.84
O  0.2755  0.3417  0.0989  1 W 1.82
O  0.6020  0.5246  0.1878  1 W 1.78
O  0.2558  0.5033  0.9644  1 W 1.88
O  0.7387  0.8109  0.0921  1 W 1.84
O  0.8980  0.5246  0.6878  1 W 1.78
O  0.7558  0.4967  0.5356  1 W 1.88
O  0.7755  0.1583  0.5989  1 W 1.82
O  0.6020  0.0246  0.8122  1 W 1.78
O  0.7558  0.9967  0.4644  1 W 1.88
O  0.7245  0.6583  0.9011  1 W 1.82
O  0.3980  0.9754  0.1878  1 W 1.78
O  0.2755  0.8417  0.9011  1 W 1.82
O  0.2387  0.6891  0.5921  1 W 1.84
O  0.8980  0.0246  0.3122  1 W 1.78
W  0.4787  0.5175  0.1007  4 O 1.78-1.88
W  0.5213  0.9825  0.1007  4 O 1.78-1.88
W  0.0213  0.5175  0.6007  4 O 1.78-1.88
W  0.9787  0.4825  0.3993  4 O 1.78-1.88
W  0.4787  0.0175  0.8993  4 O 1.78-1.88
W  0.5213  0.4825  0.8993  4 O 1.78-1.88
W  0.0213  0.0175  0.3993  4 O 1.78-1.88
W  0.9787  0.9825  0.6007  4 O 1.78-1.88

=====

(2)
## NdTlW2O8 (GGA+U)

Data for a relaxed structure of NdTlW2O8.

Lattice parameters (Å, degrees): 7.7505 7.7505 7.5532 62.88 62.88 89.36
Last column: nearest neighbours and their distance in Å.
Sites, in units of the cell vectors:
O  0.3707  0.5841  0.4724  2 W 2.00-2.13
O  0.9289  0.6168  0.6319  1 W 1.86
O  0.2140  0.0531  0.3106  1 W 1.83
O  0.7860  0.9469  0.6894  1 W 1.83
O  0.3798  0.2488  0.4414  1 W 1.88
O  0.7512  0.6202  0.0586  1 W 1.88
O  0.0711  0.3832  0.3681  1 W 1.86
O  0.2488  0.3798  0.9414  1 W 1.88
O  0.5841  0.3707  0.9724  2 W 2.00-2.13
O  0.6168  0.9289  0.1319  1 W 1.86
O  0.3832  0.0711  0.8681  1 W 1.86
O  0.6202  0.7512  0.5586  1 W 1.88
O  0.4159  0.6293  0.0276  2 W 2.00-2.13
O  0.6293  0.4159  0.5276  2 W 2.00-2.13
O  0.0531  0.2140  0.8106  1 W 1.83
O  0.9469  0.7860  0.1894  1 W 1.83
Nd  0.7755  0.2245  0.7500  6 O 2.39-2.43
Nd  0.2245  0.7755  0.2500  6 O 2.39-2.43
W  0.6975  0.6875  0.7787  4 O 1.83-2.00
W  0.6875  0.6975  0.2787  4 O 1.83-2.00
W  0.3125  0.3025  0.7213  4 O 1.83-2.00
W  0.3025  0.3125  0.2213  4 O 1.83-2.00
Tl  0.7958  0.2042  0.2500  10 O 2.96-3.19
Tl  0.2042  0.7958  0.7500  10 O 2.96-3.19

=====

Energy above the most stable structure, in meV per atom: (1) 46; (2) 0